This record from Materials Project describes crystalline Yb5Sb3 at its relaxed geometry. The functional is meta-GGA r2SCAN.

Unit cell a=8.7744 b=8.7744 c=6.1808 alpha=90.00 beta=90.00 gamma=120.00
With the nearest neighbours (Å) after each atom.
Positions (direct):
Yb1 0.2469 0.2469 0.7500  5 Sb 2.98-3.33
Yb2 0.3333 0.6667 0.5000  2 Yb 3.09, 6 Sb 3.13
Yb3 0.7531 0.0000 0.7500  5 Sb 2.98-3.33
Yb4 0.0000 0.7531 0.7500  5 Sb 2.98-3.33
Yb5 0.7531 0.7531 0.2500  5 Sb 2.98-3.33
Yb6 0.2469 0.0000 0.2500  5 Sb 2.98-3.33
Yb7 0.0000 0.2469 0.2500  5 Sb 2.98-3.33
Yb8 0.6667 0.3333 0.5000  2 Yb 3.09, 6 Sb 3.13
Yb9 0.6667 0.3333 0.0000  2 Yb 3.09, 6 Sb 3.13
Yb10 0.3333 0.6667 0.0000  2 Yb 3.09, 6 Sb 3.13
Sb1 0.0000 0.6120 0.2500  9 Yb 2.98-3.33
Sb2 0.6120 0.6120 0.7500  9 Yb 2.98-3.33
Sb3 0.3880 0.3880 0.2500  9 Yb 2.98-3.33
Sb4 0.3880 0.0000 0.7500  9 Yb 2.98-3.33
Sb5 0.0000 0.3880 0.7500  9 Yb 2.98-3.33
Sb6 0.6120 0.0000 0.2500  9 Yb 2.98-3.33

Properties
- SG: P6_3/mcm (193)
- V: 412.1 Å³ per cell
- Theoretical density: 9.9 g cm⁻³
- M_tot: 0.678 μB/f.u.
- Total DFT energy (no corrections): -33.4431 eV per atom
- Energy relative to the elements: -0.972 eV per atom